Run w
Below is a geometry-optimized LiMn2P5O15 structure, with properties calculated at the PBE+U level.

The structure in extended XYZ format:
```
46
Lattice="13.186 0.000 0.000 0.000 5.174 0.000 0.000 2.035 8.503" Properties=species:S:1:pos:R:3 pbc="T T T"
Mn 5.309 2.397 7.185
O 2.043 3.030 0.815
O 8.636 4.180 7.688
O 11.420 5.640 5.720
O 9.889 1.116 1.066
P 4.766 6.046 4.255
O 13.073 3.133 2.055
Mn 7.877 4.813 1.317
O 0.113 4.076 6.448
O 4.891 4.575 4.129
P 12.258 5.052 6.909
O 4.827 1.570 2.782
O 6.480 4.076 6.448
O 1.766 1.570 2.782
Mn 1.284 2.397 7.185
O 6.706 3.133 2.055
P 5.665 2.157 1.593
Li 6.593 3.605 4.251
O 8.359 5.640 5.720
O 7.550 5.543 3.289
O 12.708 6.186 7.823
O 9.889 3.710 0.783
Mn 11.902 4.813 1.317
O 12.229 5.543 3.289
O 11.484 2.634 4.374
O 11.143 4.180 7.688
O 5.636 1.666 5.213
P 8.420 1.163 4.248
Li 0.000 3.605 4.251
P 3.296 4.890 8.338
O 7.071 6.186 7.823
O 8.295 2.634 4.374
P 9.889 2.319 0.164
P 7.521 5.052 6.909
O 6.115 1.023 0.679
O 0.478 1.023 0.679
P 11.359 1.163 4.248
P 0.928 2.157 1.593
O 0.957 1.666 5.213
O 4.550 3.030 0.815
O 3.296 6.094 7.437
O 3.296 1.352 4.646
O 9.889 5.857 3.857
O 1.702 4.575 4.129
P 1.827 6.046 4.255
O 3.296 3.500 7.720
```

crystal system	monoclinic
symmetry	P2_1/m (11)
magnetization	10.00	μB/f.u.


Run x
Below is a geometry-optimized LiMn2P5O15 structure, with properties calculated at the PBE+U level.

The structure in extended XYZ format:
```
46
Lattice="-5.690 -1.326 -4.371 5.843 -4.174 -1.295 -4.347 -9.782 7.241" Properties=species:S:1:pos:R:3 pbc="T T T"
O -3.366 -7.946 -0.890
O -0.754 -9.826 4.480
Mn -2.148 -7.220 2.987
O 1.069 -8.060 0.869
O -4.707 -3.238 -3.909
O -0.487 -4.976 -4.242
O 1.973 -5.280 1.385
O -6.252 -6.161 -1.144
O -6.918 -11.515 2.938
O -2.640 -13.553 3.504
P -2.264 -12.544 2.286
P -2.521 -4.595 -0.076
O 2.942 -2.864 -0.717
P -2.640 -7.023 -2.014
O -5.341 -6.246 1.273
P 1.505 -9.484 0.817
O -2.221 -5.694 -1.167
Li -5.970 -4.596 -2.253
Mn -0.737 -2.141 -0.837
O -0.481 -3.069 -2.627
O -1.972 -10.037 -0.438
O -1.211 -3.920 0.285
O 3.654 -5.222 -1.042
P 0.326 -4.261 -3.066
O 0.695 -5.286 -2.045
P 4.179 -3.784 -1.086
O 0.470 -13.248 4.849
O -2.856 -10.906 5.452
P -2.210 -10.099 4.207
O 1.864 -10.288 2.044
Li 1.460 -11.858 3.929
O -2.964 -5.452 1.223
O -1.391 -7.656 -2.499
O -3.270 -12.619 1.200
P -6.516 -6.570 0.261
O -6.762 -8.078 0.380
O -3.647 -3.684 -0.492
Mn 1.639 -6.242 -0.463
Mn -5.935 -9.799 1.716
P -3.503 -2.820 -4.719
O -6.642 -8.580 3.287
O -1.906 -8.145 1.193
O -4.049 -9.542 0.889
O -2.406 -11.076 2.984
P -2.838 -8.907 0.290
O -3.090 -8.884 3.983
```

crystal system	monoclinic
symmetry	Cc (9)
magnetization	10.00	μB/f.u.


Most stable to least stable, the ends of the list are run w and run x.


Run w
Below is a geometry-optimized Li3MnPCO7 structure, with properties calculated at the PBE+U level.

The structure in extended XYZ format:
```
52
Lattice="-0.815 -4.662 -4.563 8.519 -0.872 -0.523 -1.065 -6.819 7.221" Properties=species:S:1:pos:R:3 pbc="T T T"
O 2.526 -6.958 4.381
Li 0.566 -2.042 -0.389
O 1.673 -6.268 2.065
O 4.670 -7.780 -1.660
O -0.180 -8.708 1.886
Mn 4.934 -4.445 1.352
Li 1.005 -8.565 4.074
Mn 4.438 -7.756 4.817
Li 1.567 -4.989 0.325
C -1.022 -7.952 1.245
O -0.065 -3.726 -3.281
Mn 5.273 -6.162 -3.928
O 6.686 -8.604 5.452
Li 1.944 -2.840 2.423
O -0.138 -6.870 4.741
P 3.116 -2.459 -0.356
O -0.590 -7.141 0.342
O 1.968 -4.539 3.742
P 4.011 -6.466 -1.126
O 2.553 -6.656 -0.676
O 4.435 -9.512 3.656
C 7.125 -7.809 4.521
Li 5.581 -3.920 -1.896
Li 2.152 -4.502 -2.834
O 4.117 -11.222 1.962
Li 1.381 -6.377 6.213
P 2.586 -5.874 3.255
O 6.267 -7.062 3.869
Li 6.742 -6.866 -1.110
O 6.781 -5.507 -2.572
O 0.391 -5.282 -1.718
P 3.473 -9.884 2.485
Li -0.049 -5.473 3.273
Mn 1.627 -7.977 0.831
O 6.784 -3.568 0.317
Li 5.090 -7.371 1.679
O 4.965 -6.079 0.047
C -0.428 -4.542 -2.364
Li 6.209 -10.264 2.477
C 7.659 -4.370 0.909
O 7.217 -5.210 1.776
O 2.009 -10.035 2.895
O 6.225 -8.906 1.015
O 4.089 -5.743 2.861
O 2.523 -1.146 0.185
Li 4.744 -9.398 -0.298
O 4.634 -2.304 -0.772
O 2.241 -2.905 -1.540
O 0.384 -3.418 1.096
O 3.086 -3.554 0.774
O 3.575 -8.802 1.357
O 4.065 -5.387 -2.254
```

crystal system	triclinic
symmetry	P1 (1)
magnetization	5.00	μB/f.u.


Run x
Below is a geometry-optimized Li3MnPCO7 structure, with properties calculated at the PBE+U level.

The structure in extended XYZ format:
```
26
Lattice="5.281 0.000 0.000 0.000 6.711 0.000 0.000 0.000 8.330" Properties=species:S:1:pos:R:3 pbc="T T T"
Li 2.113 4.867 5.973
C 2.595 3.355 0.084
P 2.813 0.000 3.407
O 2.623 3.355 7.130
Li 5.104 3.355 7.663
Li 4.754 5.199 2.357
O 2.030 0.000 4.754
P 0.172 3.355 4.923
O 5.181 2.121 5.831
O 1.705 3.355 4.609
O 3.705 3.355 0.769
Li 4.754 1.512 2.357
O 1.454 3.355 0.709
O 5.264 0.000 1.200
O 4.670 3.355 3.576
O 4.346 0.000 3.721
C 5.235 0.000 8.246
Li 2.464 0.000 0.667
Mn 2.517 3.355 2.716
O 5.181 4.590 5.831
Li 2.113 1.843 5.973
O 2.540 5.477 2.499
O 2.540 1.234 2.499
O 4.094 0.000 7.621
Mn 5.158 0.000 5.614
O 1.065 0.000 7.561
```

crystal system	orthorhombic
symmetry	Pmn2_1 (31)
magnetization	5.00	μB/f.u.


Most stable to least stable, the ends of the list are run w and run x.